The following is a PBE-GGA calculation of a geometry-optimized NdS3 structure, from the Materials Project database.

Lattice parameters (Å, degrees): 5.7534 5.7534 5.6637 90.00 90.00 120.00
Fractional coordinates of all 8 atoms:
Nd: 0.6667 0.3333 0.2500
Nd: 0.3333 0.6667 0.7500
S: 0.8237 0.6475 0.7500
S: 0.1763 0.3525 0.2500
S: 0.3525 0.1763 0.7500
S: 0.6475 0.8237 0.2500
S: 0.8237 0.1763 0.7500
S: 0.1763 0.8237 0.2500

Output
formation energy from the elements = -1.187 eV/atom
space group = P6_3/mmc
calculated density = 4.9 g/cm³
MP2020-corrected energy = -43.9 eV/cell
total energy = -0.188 Ha/atom
total moment = 0.00 Bohr magnetons per cell
calculated volume = 162 Å³ per cell


The following is a PBE-GGA calculation of a geometry-optimized Nd5S8 structure, from the Materials Project database.

Lattice parameters (Å, degrees): 8.3635 8.3635 8.3635 60.00 60.00 60.00
Fractional coordinates of all 13 atoms:
S: 0.3833 0.3833 0.8500
S: 0.8500 0.3833 0.3833
S: 0.4084 0.8639 0.8639
S: 0.3833 0.8500 0.3833
S: 0.8639 0.8639 0.4084
S: 0.3833 0.3833 0.3833
S: 0.8639 0.4084 0.8639
S: 0.8639 0.8639 0.8639
Nd: 0.6289 0.6289 0.6289
Nd: 0.6289 0.6289 0.1132
Nd: 0.6289 0.1132 0.6289
Nd: 0.2500 0.2500 0.2500
Nd: 0.1132 0.6289 0.6289

Output
formation energy from the elements = -2.072 eV/atom
space group = F-43m
calculated density = 3.9 g/cm³
MP2020-corrected energy = -83.9 eV/cell
total energy = -0.226 Ha/atom
total moment = 1.00 Bohr magnetons per cell
calculated volume = 414 Å³ per cell


The following is a PBE-GGA calculation of a geometry-optimized Nd2SiS5 structure, from the Materials Project database.

Lattice parameters (Å, degrees): 12.5323 7.5849 7.8285 78.71 90.00 90.00
Fractional coordinates of all 32 atoms:
S: 0.2292 0.4715 0.5478
S: 0.7958 0.1320 0.3057
S: 0.2042 0.8680 0.6943
S: 0.5283 0.1734 0.1148
S: 0.9717 0.1734 0.6148
S: 0.5044 0.5787 0.2806
S: 0.0283 0.8266 0.3852
S: 0.9956 0.5787 0.7806
S: 0.6214 0.8638 0.4987
S: 0.1214 0.1362 0.0013
S: 0.3786 0.1362 0.5013
S: 0.4717 0.8266 0.8852
S: 0.7042 0.1320 0.8057
S: 0.2958 0.8680 0.1943
S: 0.2708 0.4715 0.0478
S: 0.7708 0.5285 0.4522
S: 0.7292 0.5285 0.9522
S: 0.8786 0.8638 0.9987
S: 0.0044 0.4213 0.2194
S: 0.4956 0.4213 0.7194
Nd: 0.9061 0.2397 0.9580
Nd: 0.1647 0.1599 0.3673
Nd: 0.0939 0.7603 0.0420
Nd: 0.3353 0.1599 0.8673
Nd: 0.6647 0.8401 0.1327
Nd: 0.8353 0.8401 0.6327
Nd: 0.4061 0.7603 0.5420
Nd: 0.5939 0.2397 0.4580
Si: 0.3834 0.6653 0.0931
Si: 0.1166 0.6653 0.5931
Si: 0.8834 0.3347 0.4069
Si: 0.6166 0.3347 0.9069

Output
formation energy from the elements = -1.865 eV/atom
space group = P2_1/c
calculated density = 4.3 g/cm³
MP2020-corrected energy = -202.3 eV/cell
total energy = -0.221 Ha/atom
calculated volume = 730 Å³ per cell
offset from the most stable computed form = 0.0000 eV/atom


The following is a PBE-GGA calculation of a geometry-optimized Nd2SiS5 structure, from the Materials Project database.

Lattice parameters (Å, degrees): 8.2126 8.6604 12.1747 92.78 90.00 90.00
Fractional coordinates of all 32 atoms:
Si: 0.2839 0.0401 0.7155
Si: 0.2161 0.0401 0.2155
Si: 0.7839 0.9599 0.7845
Si: 0.7161 0.9599 0.2845
Nd: 0.9271 0.4952 0.8390
Nd: 0.0729 0.5048 0.1610
Nd: 0.5744 0.2560 0.9925
Nd: 0.4271 0.5048 0.6610
Nd: 0.4256 0.7440 0.0075
Nd: 0.5729 0.4952 0.3390
Nd: 0.9256 0.2560 0.4925
Nd: 0.0744 0.7440 0.5075
S: 0.7011 0.9464 0.9434
S: 0.1700 0.8270 0.2715
S: 0.1693 0.2410 0.3070
S: 0.2011 0.0536 0.5566
S: 0.5995 0.3203 0.5203
S: 0.9005 0.3203 0.0203
S: 0.4005 0.6797 0.4797
S: 0.8300 0.1730 0.7285
S: 0.3300 0.8270 0.7715
S: 0.6693 0.7590 0.1930
S: 0.6700 0.1730 0.2285
S: 0.8307 0.7590 0.6930
S: 0.3307 0.2410 0.8070
S: 0.9087 0.5261 0.3677
S: 0.0995 0.6797 0.9797
S: 0.0913 0.4739 0.6323
S: 0.5913 0.5261 0.8677
S: 0.7989 0.9464 0.4434
S: 0.4087 0.4739 0.1323
S: 0.2989 0.0536 0.0566

Output
formation energy from the elements = -1.696 eV/atom
space group = P2_1/c
calculated density = 3.7 g/cm³
MP2020-corrected energy = -196.8 eV/cell
total energy = -0.214 Ha/atom
total moment = 0.00 Bohr magnetons per cell
calculated volume = 865 Å³ per cell
offset from the most stable computed form = 0.1694 eV/atom


The following is a PBE-GGA calculation of a geometry-optimized Nd2SmS4 structure, from the Materials Project database.

Lattice parameters (Å, degrees): 7.4012 7.4012 7.4012 109.50 109.50 109.42
Fractional coordinates of all 14 atoms:
S: 0.1224 0.7252 0.7505
S: 0.2748 0.0253 0.3972
S: 0.6281 0.8776 0.6028
S: 0.1219 0.2247 0.7495
S: 0.6276 0.8781 0.1028
S: 0.4752 0.3724 0.2505
S: 0.9747 0.3719 0.2495
S: 0.7753 0.5248 0.8972
Sm: 0.7500 0.2500 0.5000
Sm: 0.0000 0.0000 0.0000
Nd: 0.8750 0.7499 0.3749
Nd: 0.2501 0.6250 0.1251
Nd: 0.3750 0.5001 0.6251
Nd: 0.4999 0.1250 0.8749

Output
formation energy from the elements = -2.300 eV/atom
space group = I-42d
calculated density = 6.0 g/cm³
MP2020-corrected energy = -93.8 eV/cell
total energy = -0.236 Ha/atom
total moment = 0.12 Bohr magnetons per cell
calculated volume = 312 Å³ per cell


The following is a PBE-GGA calculation of a geometry-optimized SrNd2S4 structure, from the Materials Project database.

Lattice parameters (Å, degrees): 7.5359 7.5359 7.5359 109.44 109.44 109.54
Fractional coordinates of all 14 atoms:
S: 0.8645 0.7672 0.2487
S: 0.2328 0.4815 0.0973
S: 0.5185 0.6158 0.7513
S: 0.0172 0.6145 0.7487
S: 0.7315 0.9828 0.5973
S: 0.8658 0.2685 0.2513
S: 0.3842 0.1355 0.9027
S: 0.3855 0.1342 0.4027
Nd: 0.4979 0.8750 0.1229
Nd: 0.6250 0.5021 0.3771
Nd: 0.7521 0.3750 0.8771
Nd: 0.1250 0.2479 0.6229
Sr: 0.0000 0.0000 0.0000
Sr: 0.2500 0.7500 0.5000

Output
formation energy from the elements = -2.367 eV/atom
space group = I-42d
calculated density = 5.1 g/cm³
MP2020-corrected energy = -88.7 eV/cell
total energy = -0.222 Ha/atom
calculated volume = 329 Å³ per cell